*i*
Here is TiS2O8 after structural relaxation from the Materials Project. Energies are from meta-GGA r2SCAN.

Output
Calculated volume: 13.49 Å³ per atom
Symmetry: R3, No. 146

Cell lengths 8.976, 8.976, 8.976 Å; angles 54.44, 54.44, 54.44 degrees
Sites, in units of the cell vectors:
Ti 0.150 0.150 0.150
Ti 0.648 0.648 0.648
Ti 0.847 0.847 0.847
S 0.044 0.453 0.755
S 0.453 0.755 0.044
S 0.755 0.044 0.453
S 0.250 0.972 0.531
S 0.531 0.250 0.972
S 0.972 0.531 0.250
O 0.138 0.522 0.242
O 0.242 0.138 0.522
O 0.010 0.329 0.971
O 0.522 0.242 0.138
O 0.013 0.649 0.727
O 0.231 0.367 0.632
O 0.367 0.632 0.231
O 0.329 0.971 0.010
O 0.632 0.231 0.367
O 0.063 0.935 0.678
O 0.282 0.984 0.342
O 0.342 0.282 0.984
O 0.649 0.727 0.013
O 0.727 0.013 0.649
O 0.971 0.010 0.329
O 0.411 0.786 0.592
O 0.678 0.063 0.935
O 0.592 0.411 0.786
O 0.786 0.592 0.411
O 0.984 0.342 0.282
O 0.486 0.729 0.875
O 0.935 0.678 0.063
O 0.729 0.875 0.486
O 0.875 0.486 0.729


*ii*
Here is TiS2O8 after structural relaxation from the Materials Project. Energies are from meta-GGA r2SCAN.

Output
Calculated volume: 13.33 Å³ per atom
Symmetry: R3, No. 146

Cell lengths 8.767, 8.767, 8.767 Å; angles 56.67, 56.67, 56.67 degrees
Sites, in units of the cell vectors:
Ti 0.642 0.642 0.642
Ti 0.357 0.357 0.357
Ti 0.146 0.146 0.146
S 0.525 0.967 0.259
S 0.259 0.525 0.967
S 0.967 0.259 0.525
S 0.039 0.747 0.469
S 0.747 0.469 0.039
S 0.469 0.039 0.747
O 0.493 0.876 0.713
O 0.876 0.713 0.493
O 0.663 0.006 0.068
O 0.713 0.493 0.876
O 0.340 0.979 0.273
O 0.597 0.769 0.400
O 0.400 0.597 0.769
O 0.068 0.663 0.006
O 0.769 0.400 0.597
O 0.025 0.948 0.318
O 0.036 0.720 0.644
O 0.720 0.644 0.036
O 0.273 0.340 0.979
O 0.979 0.273 0.340
O 0.006 0.068 0.663
O 0.227 0.616 0.369
O 0.948 0.318 0.025
O 0.616 0.369 0.227
O 0.369 0.227 0.616
O 0.644 0.036 0.720
O 0.353 0.464 0.101
O 0.318 0.025 0.948
O 0.101 0.353 0.464
O 0.464 0.101 0.353


Computed stability ranking, most favorable first: *ii*, *i*


*i*
Here is In after structural relaxation from the Materials Project. Energies are from meta-GGA r2SCAN.

Output
Calculated volume: 26.69 Å³ per atom
Symmetry: Im-3m, No. 229

Cell lengths 3.261, 3.261, 3.261 Å; angles 109.47, 109.47, 109.47 degrees
Sites, in units of the cell vectors:
In 0.000 0.000 0.000


*ii*
Here is In after structural relaxation from the Materials Project. Energies are from meta-GGA r2SCAN.

Output
Calculated volume: 26.81 Å³ per atom
Symmetry: I-43m, No. 217

Cell lengths 10.033, 10.033, 10.033 Å; angles 109.47, 109.47, 109.47 degrees
Sites, in units of the cell vectors:
In 0.000 0.000 0.000
In 0.665 0.000 0.000
In 0.384 0.193 0.000
In 0.193 0.384 0.000
In 0.692 0.414 0.000
In 0.000 0.665 0.000
In 0.414 0.692 0.000
In 0.807 0.807 0.190
In 0.384 0.000 0.193
In 0.000 0.384 0.193
In 0.586 0.586 0.279
In 0.721 0.308 0.308
In 0.308 0.721 0.308
In 0.335 0.335 0.335
In 0.193 0.000 0.384
In 0.000 0.193 0.384
In 0.692 0.000 0.414
In 0.000 0.692 0.414
In 0.586 0.279 0.586
In 0.279 0.586 0.586
In 0.810 0.616 0.616
In 0.616 0.810 0.616
In 0.000 0.000 0.665
In 0.414 0.000 0.692
In 0.000 0.414 0.692
In 0.308 0.308 0.721
In 0.807 0.190 0.807
In 0.190 0.807 0.807
In 0.616 0.616 0.810


Computed stability ranking, most favorable first: *ii*, *i*


*i*
Here is Na2MoO4 after structural relaxation from the Materials Project. Energies are from meta-GGA r2SCAN.

Output
Calculated volume: 13.15 Å³ per atom
Symmetry: Fd-3m, No. 227

Cell lengths 6.386, 6.386, 6.386 Å; angles 60.00, 60.00, 60.00 degrees
Sites, in units of the cell vectors:
Na 0.000 0.000 0.000
Na 0.000 0.000 0.500
Na 0.000 0.500 0.000
Na 0.500 0.000 0.000
Mo 0.375 0.375 0.375
Mo 0.625 0.625 0.625
O 0.738 0.738 0.738
O 0.262 0.262 0.715
O 0.262 0.715 0.262
O 0.715 0.262 0.262
O 0.738 0.285 0.738
O 0.285 0.738 0.738
O 0.262 0.262 0.262
O 0.738 0.738 0.285


*ii*
Here is Na2MoO4 after structural relaxation from the Materials Project. Energies are from meta-GGA r2SCAN.

Output
Calculated volume: 14.74 Å³ per atom
Symmetry: C2/c, No. 15

Cell lengths 8.148, 7.071, 6.047 Å; angles 76.35, 57.51, 46.11 degrees
Sites, in units of the cell vectors:
Na 0.819 0.181 0.819
Na 0.181 0.818 0.181
Na 0.069 0.432 0.069
Na 0.431 0.069 0.431
Mo 0.500 0.500 0.500
Mo 0.750 0.750 0.750
O 0.774 0.881 0.935
O 0.410 0.935 0.881
O 0.935 0.410 0.774
O 0.880 0.774 0.410
O 0.476 0.369 0.315
O 0.840 0.315 0.369
O 0.370 0.475 0.840
O 0.315 0.840 0.476


Computed stability ranking, most favorable first: *i*, *ii*


*i*
Here is MgCd3 after structural relaxation from the Materials Project. Energies are from meta-GGA r2SCAN.

Output
Calculated volume: 21.28 Å³ per atom
Symmetry: I4/mmm, No. 139

Cell lengths 5.395, 5.395, 5.395 Å; angles 131.96, 131.96, 70.30 degrees
Sites, in units of the cell vectors:
Mg 0.000 0.000 0.000
Cd 0.500 0.500 0.000
Cd 0.250 0.750 0.500
Cd 0.750 0.250 0.500


*ii*
Here is MgCd3 after structural relaxation from the Materials Project. Energies are from meta-GGA r2SCAN.

Output
Calculated volume: 21.35 Å³ per atom
Symmetry: P-6m2, No. 187

Cell lengths 3.135, 3.135, 10.038 Å; angles 90.00, 90.00, 120.00 degrees
Sites, in units of the cell vectors:
Mg 0.000 0.000 0.500
Cd 0.000 0.000 0.000
Cd 0.667 0.333 0.748
Cd 0.667 0.333 0.252


Computed stability ranking, most favorable first: *i*, *ii*


*i*
Here is P2W after structural relaxation from the Materials Project. Energies are from meta-GGA r2SCAN.

Output
Calculated volume: 14.70 Å³ per atom
Symmetry: C2/m, No. 12

Cell lengths 3.191, 4.530, 6.740 Å; angles 80.60, 76.30, 69.36 degrees
Sites, in units of the cell vectors:
P 0.138 0.749 0.975
P 0.862 0.251 0.025
P 0.400 0.799 0.400
P 0.600 0.201 0.600
W 0.842 0.609 0.707
W 0.158 0.391 0.293


*ii*
Here is P2W after structural relaxation from the Materials Project. Energies are from meta-GGA r2SCAN.

Output
Calculated volume: 14.78 Å³ per atom
Symmetry: Cmc2_1, No. 36

Cell lengths 3.185, 4.984, 5.808 Å; angles 90.00, 105.92, 90.00 degrees
Sites, in units of the cell vectors:
P 0.431 0.617 0.861
P 0.569 0.117 0.139
P 0.700 0.801 0.401
P 0.300 0.301 0.599
W 0.094 0.499 0.187
W 0.906 0.999 0.813


Computed stability ranking, most favorable first: *ii*, *i*